# RbLaTa2O7

An optimized crystal structure of RbLaTa2O7 (PBE, the Materials Project database).

Structure (POSCAR):
```
RbLaTa2O7
1.0
3.9104 0.0000 0.0000
0.0000 3.9104 0.0000
0.0000 0.0000 11.3145
O Ta Rb La
7 2 1 1
direct
0.0000 0.5000 0.1656
0.0000 0.0000 0.6370
0.0000 0.0000 0.0000
0.0000 0.5000 0.8344
0.0000 0.0000 0.3630
0.5000 0.0000 0.1656
0.5000 0.0000 0.8344
0.0000 0.0000 0.2037
0.0000 0.0000 0.7963
0.5000 0.5000 0.5000
0.5000 0.5000 0.0000
```

Summary:
**Symmetry**: P4/mmm
**E**: -96.7 eV per cell
**Energy relative to the elements**: -37.2 eV/f.u.